1.
# Cs4SiO4

Crystalline Cs4SiO4 at its relaxed geometry (PBE, Materials Project).

Output
E above lowest polymorph ... 0.06 eV per formula unit
Formation enthalpy at 0 K ... -2.203 eV per atom
DFT total energy ... -5.0971 eV/atom
Symmetry ... No. 14

Geometry as POSCAR:
```
Cs4SiO4
1.0
-7.112 12.991 -12.568
-3.986 -4.970 -2.882
-6.385 -0.556 3.039
O Cs Si
16 16 4
Direct
0.059 0.223 0.649
0.441 0.223 0.149
0.817 0.585 0.374
0.659 0.964 0.559
0.941 0.777 0.351
0.406 0.389 0.432
0.094 0.389 0.932
0.559 0.777 0.851
0.683 0.585 0.874
0.594 0.611 0.568
0.906 0.611 0.068
0.183 0.415 0.626
0.841 0.964 0.059
0.341 0.036 0.441
0.159 0.036 0.941
0.317 0.415 0.126
0.486 0.791 0.266
0.423 0.662 0.794
0.692 0.824 0.178
0.713 0.321 0.660
0.808 0.824 0.678
0.514 0.209 0.734
0.308 0.176 0.822
0.192 0.176 0.322
0.923 0.338 0.706
0.577 0.338 0.206
0.986 0.209 0.234
0.213 0.679 0.840
0.787 0.321 0.160
0.287 0.679 0.340
0.014 0.791 0.766
0.077 0.662 0.294
0.623 0.738 0.710
0.877 0.738 0.210
0.377 0.262 0.290
0.123 0.262 0.790
```



2.
# Cs6Si2O7

Crystalline Cs6Si2O7 at its relaxed geometry (PBE, Materials Project).

Output
Formation enthalpy at 0 K ... -2.388 eV per atom
DFT total energy ... -5.4579 eV/atom
Symmetry ... No. 14

Geometry as POSCAR:
```
Cs6Si2O7
1.0
9.644 0.000 0.000
0.000 7.290 0.000
0.000 7.288 9.825
O Cs Si
14 12 4
Direct
0.769 0.005 0.562
0.846 0.610 0.124
0.076 0.223 0.735
0.500 0.000 0.500
0.731 0.005 0.062
0.000 0.000 0.000
0.154 0.390 0.876
0.576 0.777 0.765
0.231 0.995 0.438
0.346 0.390 0.376
0.654 0.610 0.624
0.924 0.777 0.265
0.269 0.995 0.938
0.424 0.223 0.235
0.473 0.294 0.955
0.144 0.521 0.097
0.973 0.706 0.545
0.276 0.889 0.727
0.856 0.479 0.903
0.644 0.479 0.403
0.027 0.294 0.455
0.527 0.706 0.045
0.724 0.111 0.273
0.224 0.889 0.227
0.356 0.521 0.597
0.776 0.111 0.773
0.128 0.159 0.882
0.372 0.159 0.382
0.628 0.841 0.618
0.872 0.841 0.118
```



3.
# Cs2SiO3

Crystalline Cs2SiO3 at its relaxed geometry (PBE, Materials Project).

Output
Formation enthalpy at 0 K ... -2.610 eV per atom
DFT total energy ... -5.9428 eV/atom
Symmetry ... No. 14

Geometry as POSCAR:
```
Cs2SiO3
1.0
-7.528 -5.714 -10.440
-4.439 -2.654 4.653
-12.598 11.635 2.717
Cs O Si
24 36 12
Direct
0.988 0.345 0.218
0.192 0.865 0.308
0.606 0.016 0.414
0.123 0.122 0.636
0.914 0.281 0.467
0.656 0.454 0.508
0.586 0.281 0.967
0.156 0.546 0.992
0.808 0.135 0.692
0.877 0.878 0.364
0.623 0.878 0.864
0.894 0.016 0.914
0.512 0.345 0.718
0.012 0.655 0.782
0.308 0.865 0.808
0.844 0.454 0.008
0.344 0.546 0.492
0.488 0.655 0.282
0.414 0.719 0.033
0.086 0.719 0.533
0.692 0.135 0.192
0.377 0.122 0.136
0.394 0.984 0.586
0.106 0.984 0.086
0.397 0.951 0.360
0.361 0.406 0.956
0.741 0.853 0.586
0.759 0.853 0.086
0.241 0.147 0.914
0.639 0.594 0.044
0.139 0.406 0.456
0.273 0.686 0.175
0.071 0.117 0.392
0.060 0.274 0.912
0.345 0.328 0.271
0.259 0.147 0.414
0.655 0.672 0.729
0.671 0.558 0.201
0.727 0.314 0.825
0.603 0.049 0.640
0.440 0.274 0.412
0.203 0.322 0.166
0.560 0.726 0.588
0.329 0.442 0.799
0.897 0.049 0.140
0.429 0.117 0.892
0.103 0.951 0.860
0.929 0.883 0.608
0.829 0.558 0.701
0.845 0.672 0.229
0.171 0.442 0.299
0.773 0.314 0.325
0.861 0.594 0.544
0.227 0.686 0.675
0.940 0.726 0.088
0.571 0.883 0.108
0.297 0.322 0.666
0.703 0.678 0.334
0.797 0.678 0.834
0.155 0.328 0.771
0.655 0.723 0.106
0.134 0.170 0.866
0.246 0.451 0.222
0.634 0.830 0.634
0.866 0.830 0.134
0.254 0.451 0.722
0.845 0.723 0.606
0.754 0.549 0.778
0.746 0.549 0.278
0.345 0.277 0.894
0.155 0.277 0.394
0.366 0.170 0.366
```



> Which formula does entry 1 have?

Cs4SiO4